[1]
P3Pd: optimized geometry, PBE.

Values from the calculation:
As for the space-group type: Im-3, No. 204. The calculation puts the total energy at -89.90 eV/cell. The formation energy is -0.264 eV/atom.

abc: 7.121 7.121 7.121
angles: 109.47 109.47 109.47
Fractional coordinates of all 16 atoms:
1 P 0.865 0.636 0.501
2 P 0.135 0.364 0.499
3 P 0.135 0.636 0.771
4 P 0.865 0.364 0.229
5 P 0.636 0.501 0.865
6 P 0.364 0.499 0.135
7 P 0.636 0.771 0.135
8 P 0.364 0.229 0.865
9 P 0.501 0.865 0.636
10 P 0.499 0.135 0.364
11 P 0.771 0.135 0.636
12 P 0.229 0.865 0.364
13 Pd 0.500 0.500 0.500
14 Pd 0.500 0.000 0.000
15 Pd 0.000 0.500 0.000
16 Pd 0.000 0.000 0.500

---

[2]
P2Pd15: optimized geometry, PBE.

Values from the calculation:
As for the space-group type: R-3, No. 148. The calculation puts the total energy at -92.84 eV/cell. The formation energy is -0.254 eV/atom.

abc: 7.139 7.139 7.139
angles: 60.81 60.81 60.81
Fractional coordinates of all 17 atoms:
1 P 0.714 0.714 0.714
2 P 0.286 0.286 0.286
3 Pd 0.635 0.154 0.320
4 Pd 0.320 0.635 0.154
5 Pd 0.154 0.320 0.635
6 Pd 0.365 0.846 0.680
7 Pd 0.680 0.365 0.846
8 Pd 0.846 0.680 0.365
9 Pd 0.947 0.225 0.442
10 Pd 0.442 0.947 0.225
11 Pd 0.225 0.442 0.947
12 Pd 0.053 0.775 0.558
13 Pd 0.558 0.053 0.775
14 Pd 0.775 0.558 0.053
15 Pd 0.921 0.921 0.921
16 Pd 0.079 0.079 0.079
17 Pd 0.500 0.500 0.500